Entry 1:
Density functional theory data (PBE) for crystalline NaFeN at its relaxed geometry.

Summary:
Volume   77 Å³ per cell
Energy of formation from the pure elements   -0.200 eV per atom
ρ   3.99 g/cm³

Lattice parameters (Å, degrees): 3.0074 3.0074 9.8716 90.00 90.00 120.00
Space group P6_3mc (No. 186)
Symmetry-distinct sites (fractional):
Na 0.3333 0.6667 0.0000 (multiplicity 2)
Fe 0.0000 0.0000 0.2565 (multiplicity 2)
N 0.3333 0.6667 0.3033 (multiplicity 2)

***

Entry 2:
Density functional theory data (PBE) for crystalline DyMn2 at its relaxed geometry.

Summary:
Volume   190 Å³ per cell
Energy of formation from the pure elements   0.114 eV per atom
ρ   9.53 g/cm³

Lattice parameters (Å, degrees): 5.0149 5.0149 8.7184 90.00 90.00 120.00
Space group P6_3/mmc (No. 194)
Symmetry-distinct sites (fractional):
Dy 0.3333 0.6667 0.0651 (multiplicity 4)
Mn 0.0000 0.0000 0.0000 (multiplicity 2)
Mn 0.1691 0.3382 0.7500 (multiplicity 6)